40
Lattice="4.006 -4.252 -7.131 6.497 6.376 1.455 4.685 -3.380 2.824" Properties=species:S:1:pos:R:3 comment="NaH4CSNO2 (PBE, relaxed)" total_magnetization_mub_per_cell=0.00 delta_e_f_ev_per_atom=-0.947 crystal_system=monoclinic pbc="T T T"
Na 7.504 4.831 1.596
H 3.202 -2.537 -1.637
H 8.110 -1.406 -3.574
N 2.990 -0.150 0.814
O 8.901 3.416 0.226
H 11.986 1.281 -1.215
Na 5.673 -2.978 -4.714
S 5.177 0.831 -0.681
S 7.110 -2.609 -0.683
O 7.713 0.028 1.466
H 9.907 0.358 -0.663
C 11.269 -1.523 -3.051
C 3.918 0.268 0.199
H 6.976 -0.463 -4.104
H 5.528 2.787 0.462
H 5.281 -1.613 -2.189
O 4.542 -1.819 -2.804
C 5.891 -3.000 0.337
N 5.001 -3.255 1.083
N 12.197 -1.105 -3.666
C 9.297 1.744 -3.189
H 6.398 -0.586 2.717
H 7.078 0.151 0.722
Na 9.514 1.723 1.862
N 10.186 1.999 -3.935
S 8.078 1.353 -2.170
S 10.010 -2.087 -2.171
O 9.683 -4.933 -3.741
H 8.790 -0.670 -5.569
H 4.078 -0.962 -2.954
O 5.504 3.677 0.889
H 9.659 -4.042 -3.315
H 11.109 -0.294 0.102
O 6.286 -4.672 -3.079
Na 7.683 -6.087 -4.448
O 7.474 -1.284 -4.318
H 8.540 2.867 -0.510
O 10.646 0.564 -0.048
H 6.647 -4.122 -2.342
H 8.212 -0.793 1.252

***

18
Lattice="7.701 0.000 0.000 0.000 7.701 0.000 0.000 0.000 11.097" Properties=species:S:1:pos:R:3 comment="K2TeBr6 (PBE, relaxed)" delta_e_f_ev_per_atom=-1.385 crystal_system=tetragonal pbc="T T T"
Br 1.598 2.298 5.549
K 0.000 3.851 8.323
Br 0.000 0.000 8.362
Br 3.851 3.851 2.813
K 3.851 0.000 2.774
Br 5.403 1.598 5.549
K 3.851 0.000 8.323
Br 5.449 1.553 0.000
Te 0.000 0.000 0.000
K 0.000 3.851 2.774
Br 3.851 3.851 8.284
Te 3.851 3.851 5.549
Br 0.000 0.000 2.735
Br 2.253 6.149 0.000
Br 6.149 5.449 0.000
Br 1.553 2.253 0.000
Br 6.103 5.403 5.549
Br 2.298 6.103 5.549

***

14
Lattice="0.000 0.000 4.854 -4.276 4.247 2.427 -4.276 -4.247 -2.427" Properties=species:S:1:pos:R:3 comment="YTiFe11C (PBE, relaxed)" total_magnetization_mub_per_cell=21.87 delta_e_f_ev_per_atom=-0.093 crystal_system=orthorhombic pbc="T T T"
Fe -1.884 0.017 2.427
Fe -6.668 0.017 2.427
Fe -2.151 2.117 1.216
Fe -4.276 -2.358 0.000
Fe -4.276 1.218 2.427
Y -4.276 4.185 2.427
Fe -5.485 0.001 4.854
Fe -3.067 0.001 4.854
Fe -6.401 2.117 1.216
Fe -4.276 2.341 4.854
Fe -2.151 2.117 3.637
Ti -4.276 -1.138 2.427
Fe -6.401 2.117 3.637
C -4.276 4.234 4.854

***

5
Lattice="2.905 -0.015 0.452 -1.465 2.538 0.000 1.337 0.772 9.930" Properties=species:S:1:pos:R:3 comment="MnCd2N2 (PBE, relaxed)" total_magnetization_mub_per_cell=2.02 delta_e_f_ev_per_atom=0.117 crystal_system=monoclinic pbc="T T T"
N 1.953 1.127 6.294
N 0.824 2.168 4.088
Mn 0.668 0.386 4.965
Cd 1.578 2.603 8.381
Cd 1.199 0.692 2.001

***

8
Lattice="3.014 -5.563 3.745 -4.106 -1.287 5.961 -1.829 0.631 -7.093" Properties=species:S:1:pos:R:3 comment="MnCu2SiTe4 (PBE, relaxed)" total_magnetization_mub_per_cell=5.00 delta_e_f_ev_per_atom=-0.302 crystal_system=tetragonal pbc="T T T"
Cu -3.241 -2.041 1.860
Si -0.546 -3.425 4.853
Mn 0.000 0.000 0.000
Te -2.389 -3.296 6.645
Te -1.099 -0.568 -2.433
Cu 0.319 -4.179 0.752
Te 1.012 -5.338 5.587
Te -1.539 -3.869 2.519

***

72
Lattice="8.356 0.000 0.000 0.000 10.083 0.000 0.000 1.097 11.995" Properties=species:S:1:pos:R:3 comment="BaZn2As3HO11 (PBE, relaxed)" total_magnetization_mub_per_cell=0.01 delta_e_f_ev_per_atom=-1.949 crystal_system=monoclinic pbc="T T T"
H 1.966 0.031 0.218
As 0.232 4.861 9.275
H 6.144 6.108 11.777
O 2.547 6.013 0.093
O 0.745 8.580 10.454
As 1.208 7.198 0.062
O 4.359 7.321 4.377
O 0.193 4.318 6.284
O 5.788 7.668 11.040
O 0.778 3.273 8.978
O 7.610 2.600 1.541
As 8.253 8.583 5.934
O 4.955 2.866 3.018
As 5.386 9.023 11.933
O 8.174 2.280 4.377
O 8.294 6.256 0.909
O 4.117 9.965 11.086
O 7.578 7.907 3.018
Zn 6.849 3.339 3.445
As 4.076 7.639 6.061
O 1.529 5.936 9.030
Zn 2.627 0.545 5.442
As 3.946 9.902 9.275
O 4.239 1.215 0.909
As 8.123 6.319 2.721
O 8.163 6.862 5.712
O 7.233 1.876 7.031
O 1.610 8.553 0.955
Ba 4.448 5.889 9.417
O 3.985 9.360 6.284
H 6.389 11.149 11.777
Zn 5.685 8.380 3.445
As 0.102 2.597 6.061
Ba 0.270 0.249 2.578
O 5.459 10.336 8.629
O 0.182 8.900 7.618
O 3.433 3.539 10.454
Zn 5.729 10.635 6.553
O 3.400 8.314 8.978
Zn 1.507 7.841 8.550
O 1.281 5.885 3.366
As 4.280 3.541 5.934
O 3.055 4.263 4.964
O 4.371 1.820 5.712
O 1.625 1.923 6.520
O 1.631 0.972 0.093
O 5.803 4.216 5.475
H 2.211 5.072 0.218
Ba 8.085 10.931 9.417
O 6.746 2.627 11.040
Zn 6.805 5.594 6.553
O 2.553 6.964 6.520
O 3.996 3.859 7.618
Zn 2.671 2.800 8.550
Ba 3.907 5.291 2.578
O 4.923 7.641 1.541
O 5.300 6.917 7.031
O 7.075 5.295 8.629
O 5.809 5.167 11.902
As 2.970 2.157 0.062
Zn 1.551 5.586 5.442
O 1.122 9.304 4.964
As 7.148 3.982 11.933
As 4.410 1.278 2.721
O 5.707 10.285 2.966
O 2.649 0.895 9.030
O 0.061 4.924 11.086
O 6.724 10.208 11.902
O 2.897 0.844 3.366
O 2.568 3.512 0.955
O 6.731 9.257 5.475
O 6.826 5.244 2.966

***

4
Lattice="7.941 1.306 1.625 2.809 7.552 -1.573 -6.403 -3.205 4.016" Properties=species:S:1:pos:R:3 comment="Rb3Sm (PBE, relaxed)" total_magnetization_mub_per_cell=0.96 delta_e_f_ev_per_atom=0.619 crystal_system=tetragonal pbc="T T T"
Rb 0.890 4.388 1.235
Rb 3.456 1.265 2.833
Rb 5.375 4.429 0.026
Sm 0.000 0.000 0.000

***

28
Lattice="1.118 3.674 -3.542 -6.004 -1.504 -3.455 -5.119 7.141 5.789" Properties=species:S:1:pos:R:3 comment="CuTeO5 (PBE, relaxed)" total_magnetization_mub_per_cell=0.00 delta_e_f_ev_per_atom=-0.394 crystal_system=orthorhombic pbc="T T T"
O -6.915 6.937 0.474
O -6.004 3.027 -0.221
Te -2.214 3.126 1.681
Cu -4.272 4.674 3.131
O -3.556 4.032 -4.372
Te -6.015 4.933 0.227
O -1.575 2.274 -3.457
O -9.167 8.550 -0.267
Te -5.540 1.600 -4.805
O -8.897 3.754 0.810
O -4.147 7.553 2.396
Cu -8.745 6.721 -0.011
O -3.265 4.771 1.530
O -7.101 7.085 3.684
O -2.236 6.233 -0.525
Te -6.242 8.963 0.482
O -0.563 4.704 -2.321
O -2.975 2.459 -0.264
O -8.190 4.865 0.482
O -6.522 2.221 -2.923
O -6.010 4.761 2.355
O -4.486 3.232 -3.792
O -5.063 -0.011 -4.041
Cu -5.156 3.085 -1.914
O -4.360 8.066 1.158
O -3.411 3.284 -1.249
O -5.611 5.316 -1.533
Cu -1.837 4.142 -3.622